First-principles (r2SCAN) data for a geometry-optimized VSnO4 structure, as listed in Materials Project.

extended XYZ file:
```
24
Lattice="0.478 -6.413 -0.857 5.396 -0.089 3.679 -6.412 2.313 3.664" Properties=species:S:1:pos:R:3 pbc="T T T"
O -2.514 -2.037 3.619
O -0.055 1.125 5.887
O -5.174 -0.909 3.912
O -0.049 -0.496 3.685
O 1.959 -0.529 5.054
O -0.497 -5.313 0.581
O -2.237 -4.160 5.323
O -2.508 -3.658 1.417
O -1.786 -0.965 6.222
O 1.962 -2.151 2.850
O -0.776 -1.568 1.082
O 2.161 -4.819 2.493
O -2.713 0.631 3.976
O -0.499 -3.691 2.786
O 0.225 -2.620 5.387
O -4.245 -4.127 3.954
V 0.087 -0.747 5.638
V -0.634 -3.440 0.833
V -2.372 -3.909 3.370
V 1.824 -0.278 3.101
Sn -1.743 -0.468 2.530
Sn 1.195 -3.719 3.941
Sn -3.480 -0.937 5.068
Sn -0.543 -4.188 6.478
```

- calculated volume (A^3/atom) = 11.0
- formation energy (eV/atom) = -2.21

First-principles (r2SCAN) data for a geometry-optimized NdAl3Pd2 structure, as listed in Materials Project.

extended XYZ file:
```
6
Lattice="5.460 0.000 0.000 -2.730 4.728 0.000 0.000 0.000 4.203" Properties=species:S:1:pos:R:3 pbc="T T T"
Nd 0.000 0.000 0.000
Al -1.365 2.364 2.101
Al 2.730 0.000 2.101
Al 1.365 2.364 2.101
Pd 0.000 3.152 0.000
Pd 2.730 1.576 0.000
```

- calculated volume (A^3/atom) = 18.1
- symmetry = P6/mmm, No. 191
- formation energy (eV/atom) = -0.90

First-principles (r2SCAN) data for a geometry-optimized MgHg3 structure, as listed in Materials Project.

extended XYZ file:
```
4
Lattice="4.475 0.000 0.000 0.000 4.475 0.000 0.000 0.000 4.475" Properties=species:S:1:pos:R:3 pbc="T T T"
Mg 0.000 0.000 0.000
Hg 0.000 2.238 2.238
Hg 2.238 0.000 2.238
Hg 2.238 2.238 0.000
```

- calculated volume (A^3/atom) = 22.4
- symmetry = Pm-3m, No. 221
- formation energy (eV/atom) = -0.05

First-principles (r2SCAN) data for a geometry-optimized AsBr3 structure, as listed in Materials Project.

extended XYZ file:
```
16
Lattice="4.289 0.000 0.000 0.000 10.495 0.000 0.000 0.000 12.458" Properties=species:S:1:pos:R:3 pbc="T T T"
As 0.045 2.046 2.646
As 2.099 8.449 8.875
As 2.190 3.202 9.813
As 4.244 7.293 3.584
Br 0.944 8.403 10.939
Br 0.958 6.736 7.725
Br 1.039 10.310 7.895
Br 1.105 0.185 1.666
Br 1.187 3.759 1.496
Br 1.201 2.092 4.710
Br 3.088 7.339 1.519
Br 3.102 9.006 4.733
Br 3.184 5.432 4.563
Br 3.250 5.063 10.792
Br 3.331 1.489 10.962
Br 3.345 3.156 7.748
```

- calculated volume (A^3/atom) = 35.0
- symmetry = P2_12_12_1, No. 19
- formation energy (eV/atom) = -0.50

First-principles (r2SCAN) data for a geometry-optimized Ag3SbS3 structure, as listed in Materials Project.

extended XYZ file:
```
14
Lattice="5.436 3.139 3.113 -5.436 3.139 3.113 0.000 -6.277 3.113" Properties=species:S:1:pos:R:3 pbc="T T T"
Ag -1.152 -2.708 3.113
Ag -3.667 -0.787 4.669
Ag -1.769 2.351 3.113
Ag 2.515 -2.782 4.669
Ag 2.921 0.356 3.113
Ag 1.152 3.569 4.669
Sb 0.000 0.000 0.271
Sb 0.000 0.000 4.940
S -3.628 2.007 4.646
S 0.076 -4.145 4.646
S -1.809 -1.132 6.202
S -0.076 2.132 6.202
S 1.884 -1.000 6.202
S 3.552 2.138 4.646
```

- calculated volume (A^3/atom) = 22.8
- symmetry = R3c, No. 161
- energy above the most stable polymorph in this dataset (meV per atom) = 8.8
- formation energy (eV/atom) = -0.20

First-principles (r2SCAN) data for a geometry-optimized CeOs2 structure, as listed in Materials Project.

extended XYZ file:
```
12
Lattice="5.310 0.000 0.000 -2.655 4.598 0.000 0.000 0.000 9.002" Properties=species:S:1:pos:R:3 pbc="T T T"
Ce 0.000 3.065 0.634
Ce 0.000 3.065 3.867
Ce 2.655 1.533 5.134
Ce 2.655 1.533 8.368
Os 0.000 0.000 0.000
Os 0.000 0.000 4.501
Os 0.000 1.566 6.751
Os -1.299 3.815 6.751
Os 1.356 0.783 2.250
Os 1.299 3.815 6.751
Os 3.953 0.783 2.250
Os 2.655 3.032 2.250
```

- calculated volume (A^3/atom) = 18.3
- symmetry = P6_3/mmc, No. 194
- formation energy (eV/atom) = -0.27